Density functional theory data (r²SCAN) for crystalline Fe11Si5 at its relaxed geometry.

Computed properties:
* crystal system: cubic
* ΔH_f (0 K): -0.169 eV per atom
* space-group type: Pm-3m

Lattice parameters (Å, degrees): 5.532 5.532 5.532 90.00 90.00 90.00
Element x y z (fractional)
1 Fe 0.000 0.000 0.500
2 Fe 0.000 0.500 0.000
3 Fe 0.253 0.253 0.253
4 Fe 0.253 0.253 0.747
5 Fe 0.253 0.747 0.253
6 Fe 0.253 0.747 0.747
7 Fe 0.500 0.000 0.000
8 Fe 0.747 0.253 0.253
9 Fe 0.747 0.253 0.747
10 Fe 0.747 0.747 0.253
11 Fe 0.747 0.747 0.747
12 Si 0.000 0.000 0.000
13 Si 0.000 0.500 0.500
14 Si 0.500 0.000 0.500
15 Si 0.500 0.500 0.000
16 Si 0.500 0.500 0.500